1.
A relaxed Rb2GaB5H8O14 crystal. Source: Materials Project, functional GGA-PBE.

a = 7.185 Å, b = 7.185 Å, c = 13.979 Å
α = 90.00°, β = 90.00°, γ = 96.32°
Atoms (fractional coordinates):
B1 0.742 0.306 0.582
B2 0.306 0.742 0.418
B3 0.716 0.937 0.869
B4 0.799 0.201 0.750
Ga1 0.372 0.372 0.500
O1 0.979 0.781 0.666
B5 0.284 0.063 0.369
O2 0.675 0.065 0.939
H1 0.565 0.565 0.784
H2 0.243 0.089 0.894
O3 0.254 0.254 0.000
O4 0.250 0.289 0.611
O5 0.001 0.238 0.723
O6 0.021 0.219 0.166
O7 0.762 0.322 0.831
O8 0.325 0.935 0.439
O9 0.219 0.021 0.834
Rb1 0.916 0.381 0.344
H3 0.435 0.435 0.284
B6 0.937 0.716 0.131
H4 0.757 0.911 0.394
O10 0.935 0.325 0.561
H5 0.911 0.757 0.606
B7 0.201 0.799 0.250
O11 0.678 0.238 0.669
B8 0.694 0.258 0.918
O12 0.750 0.711 0.111
H6 0.435 0.435 0.716
O13 0.371 0.641 0.010
O14 0.641 0.371 0.990
H7 0.089 0.243 0.106
H8 0.744 0.612 0.484
O15 0.629 0.359 0.510
O16 0.711 0.750 0.889
O17 0.746 0.746 0.500
B9 0.258 0.694 0.082
H9 0.898 0.859 0.703
Rb2 0.084 0.619 0.844
H10 0.565 0.565 0.216
H11 0.256 0.388 0.984
Ga2 0.628 0.628 0.000
Rb3 0.619 0.084 0.156
O18 0.445 0.555 0.750
H12 0.141 0.102 0.797
O19 0.289 0.250 0.389
O20 0.555 0.445 0.250
O21 0.999 0.762 0.223
H13 0.859 0.898 0.297
H14 0.102 0.141 0.203
B10 0.063 0.284 0.631
O22 0.359 0.629 0.490
H15 0.388 0.256 0.016
H16 0.612 0.744 0.516
O23 0.238 0.001 0.277
O24 0.781 0.979 0.334
O25 0.065 0.675 0.061
O26 0.762 0.999 0.777
O27 0.322 0.762 0.169
Rb4 0.381 0.916 0.656
O28 0.238 0.678 0.331

## Properties
symmetry: C222_1 (20)
total magnetic moment: 0.000 μB per atom
volume: 12.0 A^3/atom
total energy: -189.5 eV per formula unit
formation energy: -2.143 eV/atom

2.
A relaxed ZnCoN2 crystal. Source: Materials Project, functional GGA-PBE.

a = 5.444 Å, b = 6.289 Å, c = 5.125 Å
α = 90.00°, β = 90.00°, γ = 90.00°
Atoms (fractional coordinates):
Co1 0.928 0.871 0.498
N1 0.436 0.609 0.851
N2 0.607 0.858 0.400
Zn1 0.589 0.878 0.000
N3 0.564 0.391 0.351
N4 0.936 0.891 0.851
Co2 0.572 0.371 0.998
N5 0.393 0.142 0.900
N6 0.064 0.109 0.351
Co3 0.072 0.129 0.998
Zn2 0.911 0.378 0.500
N7 0.893 0.358 0.900
Co4 0.428 0.629 0.498
N8 0.107 0.642 0.400
Zn3 0.089 0.622 0.000
Zn4 0.411 0.122 0.500

## Properties
symmetry: Pna2_1 (33)
total magnetic moment: 0.000 μB per atom
volume: 11.0 A^3/atom
total energy: -23.9 eV per formula unit
formation energy: 0.104 eV/atom

3.
A relaxed Y2CuPt crystal. Source: Materials Project, functional GGA-PBE.

a = 4.931 Å, b = 4.931 Å, c = 4.931 Å
α = 60.00°, β = 60.00°, γ = 60.00°
Atoms (fractional coordinates):
Y1 0.250 0.250 0.250
Cu1 0.000 0.000 0.000
Pt1 0.500 0.500 0.500
Y2 0.750 0.750 0.750

## Properties
symmetry: Fm-3m (225)
volume: 21.2 A^3/atom
total energy: -26.1 eV per formula unit
formation energy: -0.748 eV/atom

4.
A relaxed Ag3S crystal. Source: Materials Project, functional GGA-PBE.

a = 5.976 Å, b = 5.976 Å, c = 4.671 Å
α = 90.00°, β = 90.00°, γ = 120.00°
Atoms (fractional coordinates):
Ag1 0.330 0.165 0.750
S1 0.667 0.333 0.250
S2 0.333 0.667 0.750
Ag2 0.835 0.670 0.750
Ag3 0.835 0.165 0.750
Ag4 0.165 0.835 0.250
Ag5 0.165 0.330 0.250
Ag6 0.670 0.835 0.250

## Properties
symmetry: P6_3/mmc (194)
total magnetic moment: 0.000 μB per atom
volume: 18.1 A^3/atom
total energy: -12.2 eV per formula unit
formation energy: -0.021 eV/atom

5.
A relaxed YCo4B crystal. Source: Materials Project, functional GGA-PBE.

a = 5.019 Å, b = 5.019 Å, c = 6.824 Å
α = 90.00°, β = 90.00°, γ = 120.00°
Atoms (fractional coordinates):
Co1 0.333 0.667 0.000
Y1 0.000 0.000 0.500
Co2 0.000 0.500 0.712
Co3 0.000 0.500 0.288
Co4 0.500 0.000 0.712
Co5 0.500 0.000 0.288
Y2 0.000 0.000 0.000
Co6 0.500 0.500 0.712
B1 0.333 0.667 0.500
B2 0.667 0.333 0.500
Co7 0.667 0.333 0.000
Co8 0.500 0.500 0.288

## Properties
symmetry: P6/mmm (191)
total magnetic moment: 0.606 μB per atom
volume: 12.4 A^3/atom
distance to the lowest polymorph of the same formula: 0.0000 eV per atom
total energy: -43.3 eV per formula unit
formation energy: -0.294 eV/atom

6.
A relaxed NaScNb3SiP5O24 crystal. Source: Materials Project, functional GGA-PBE.

a = 8.832 Å, b = 8.826 Å, c = 22.871 Å
α = 89.89°, β = 90.09°, γ = 120.07°
Atoms (fractional coordinates):
O1 0.523 0.684 0.972
O2 0.641 0.134 0.138
O3 0.172 0.972 0.196
O4 0.702 0.543 0.529
Sc1 0.005 0.003 0.855
O5 0.141 0.644 0.362
Nb1 0.997 0.001 0.146
Nb2 0.333 0.665 0.308
O6 0.210 0.166 0.808
O7 0.869 0.371 0.921
O8 0.484 0.315 0.737
Nb3 0.665 0.334 0.687
O9 0.168 0.202 0.407
O10 0.163 0.695 0.759
O11 0.164 0.476 0.262
O12 0.359 0.862 0.573
O13 0.690 0.519 0.241
P1 0.954 0.622 0.082
P2 0.335 0.383 0.416
O14 0.828 0.021 0.092
O15 0.842 0.299 0.528
Si1 0.287 0.285 0.752
Nb4 0.333 0.666 0.523
O16 0.840 0.803 0.308
O17 0.458 0.298 0.029
P3 0.284 0.003 0.251
P4 0.952 0.332 0.582
O18 0.165 0.961 0.915
Nb5 0.003 0.004 0.646
O19 0.194 0.018 0.596
O20 0.497 0.132 0.637
P5 0.715 0.002 0.751
O21 0.035 0.203 0.914
P6 0.379 0.046 0.582
O22 0.808 0.833 0.194
P7 0.616 0.952 0.416
O23 0.039 0.836 0.408
Nb6 0.995 0.998 0.359
O24 0.639 0.134 0.421
O25 0.193 0.170 0.093
O26 0.797 0.963 0.409
O27 0.503 0.640 0.573
Nb7 0.669 0.336 0.188
O28 0.529 0.841 0.759
P8 0.669 0.622 0.582
O29 0.691 0.163 0.738
O30 0.305 0.841 0.261
O31 0.358 0.494 0.074
O32 0.529 0.838 0.471
O33 0.136 0.640 0.075
O34 0.503 0.861 0.362
P9 0.333 0.953 0.916
Na1 0.665 0.332 0.838
O35 0.139 0.495 0.573
O36 0.357 0.499 0.362
O37 0.456 0.159 0.529
O38 0.703 0.160 0.029
O39 0.493 0.358 0.138
O40 0.629 0.500 0.921
O41 0.865 0.506 0.138
O42 0.505 0.862 0.075
P10 0.999 0.713 0.751
O43 0.202 0.035 0.305
P11 0.620 0.667 0.917
O44 0.827 0.039 0.804
O45 0.468 0.164 0.241
Na2 0.666 0.333 0.337
O46 0.496 0.364 0.421
P12 0.046 0.380 0.917
O47 0.956 0.784 0.804
O48 0.352 0.859 0.862
O49 0.840 0.544 0.029
Si2 0.997 0.283 0.251
Nb8 0.334 0.665 0.809
Na3 0.001 0.000 0.994
O50 0.800 0.972 0.695
O51 0.025 0.827 0.696
O52 0.636 0.503 0.637
O53 0.527 0.697 0.262
Si3 0.717 0.714 0.251
O54 0.967 0.160 0.308
Nb9 0.333 0.666 0.022
O55 0.161 0.477 0.972
O56 0.162 0.691 0.471
Sc2 0.667 0.334 0.479
O57 0.167 0.193 0.693
O58 0.977 0.172 0.595
P13 0.379 0.331 0.082
Sc3 0.666 0.334 0.978
O59 0.317 0.839 0.972
O60 0.308 0.470 0.471
P14 0.667 0.047 0.082
O61 0.824 0.302 0.241
O62 0.824 0.804 0.596
O63 0.841 0.526 0.738
O64 0.500 0.131 0.921
O65 0.797 0.834 0.914
O66 0.982 0.808 0.093
O67 0.869 0.364 0.637
O68 0.867 0.506 0.421
O69 0.311 0.480 0.760
O70 0.030 0.195 0.193
P15 0.049 0.666 0.416
O71 0.506 0.649 0.862
O72 0.142 0.495 0.862

## Properties
symmetry: P1 (1)
total magnetic moment: 0.000 μB per atom
volume: 14.7 A^3/atom
total energy: -277.5 eV per formula unit
formation energy: -2.993 eV/atom

7.
A relaxed PmMgS3 crystal. Source: Materials Project, functional GGA-PBE.

a = 6.976 Å, b = 6.976 Å, c = 6.807 Å
α = 74.35°, β = 74.35°, γ = 110.62°
Atoms (fractional coordinates):
Pm1 0.785 0.785 0.259
Mg1 0.660 0.340 0.000
Mg2 0.340 0.660 0.000
S1 0.766 0.075 0.853
S2 0.925 0.234 0.147
S3 0.075 0.766 0.853
S4 0.427 0.427 0.281
S5 0.234 0.925 0.147
S6 0.573 0.573 0.719
Pm2 0.215 0.215 0.741

## Properties
symmetry: C2/m (12)
total magnetic moment: 0.200 μB per atom
volume: 27.3 A^3/atom
total energy: -24.9 eV per formula unit
formation energy: -1.538 eV/atom

8.
A relaxed Ta2AlC crystal. Source: Materials Project, functional GGA-PBE.

a = 3.104 Å, b = 3.104 Å, c = 13.931 Å
α = 90.00°, β = 90.00°, γ = 120.00°
Atoms (fractional coordinates):
Al1 0.333 0.667 0.250
Ta1 0.667 0.333 0.410
C1 0.000 0.000 0.500
Al2 0.667 0.333 0.750
C2 0.000 0.000 0.000
Ta2 0.333 0.667 0.910
Ta3 0.667 0.333 0.090
Ta4 0.333 0.667 0.590

## Properties
symmetry: P6_3/mmc (194)
volume: 14.5 A^3/atom
total energy: -38.8 eV per formula unit
formation energy: -0.524 eV/atom

- Among the records above, which one has the highest formation energy?
  ZnCoN2